First-principles (r²SCAN) data for crystalline SmMgAg2 at its relaxed geometry, as listed in the Materials Project database.

Unit cell a=4.9814 b=4.9814 c=4.9814 alpha=60.00 beta=60.00 gamma=60.00
Last column: nearest neighbours and their distance in Å.
Positions (direct):
Sm1 0.7500 0.7500 0.7500  8 Ag 3.05
Ag1 0.0000 0.0000 0.0000  4 Sm 3.05, 4 Mg 3.05
Ag2 0.5000 0.5000 0.5000  4 Mg 3.05, 4 Sm 3.05
Mg1 0.2500 0.2500 0.2500  8 Ag 3.05

Calculated values
- symmetry = Fm-3m (225)


First-principles (r²SCAN) data for crystalline Hf9FeRe4 at its relaxed geometry, as listed in the Materials Project database.

Unit cell a=8.4161 b=8.5334 c=8.5334 alpha=120.00 beta=90.00 gamma=90.00
Last column: nearest neighbours and their distance in Å.
Positions (direct):
Hf1 0.7500 0.4598 0.9197  2 Re 2.86, 1 Fe 3.06, 4 Hf 3.13
Hf2 0.7500 0.0803 0.5402  2 Re 2.86, 1 Fe 3.06, 4 Hf 3.13
Hf3 0.5595 0.4007 0.2003  1 Fe 2.54
Hf4 0.4405 0.2003 0.7997  1 Fe 2.54
Hf5 0.0595 0.5993 0.7997  1 Fe 2.54
Hf6 0.0595 0.2003 0.4007  1 Fe 2.54
Hf7 0.9405 0.4007 0.2003  1 Fe 2.54
Hf8 0.7500 0.4598 0.5402  2 Re 2.86, 1 Fe 3.06, 4 Hf 3.13
Hf9 0.2500 0.5402 0.0803  2 Re 2.86, 1 Fe 3.06, 4 Hf 3.13
Hf10 0.2500 0.5402 0.4598  2 Re 2.86, 1 Fe 3.06, 4 Hf 3.13
Hf11 0.4405 0.2003 0.4007  1 Fe 2.54
Hf12 0.5595 0.7997 0.5993  1 Fe 2.54
Hf13 0.9405 0.7997 0.5993  1 Fe 2.54
Hf14 0.2500 0.9197 0.4598  2 Re 2.86, 1 Fe 3.06, 4 Hf 3.13
Hf15 0.0595 0.2003 0.7997  1 Fe 2.54
Hf16 0.5595 0.7997 0.2003  1 Fe 2.54
Hf17 0.4405 0.5993 0.7997  1 Fe 2.54
Hf18 0.9405 0.7997 0.2003  1 Fe 2.54
Re1 0.5000 0.0000 0.0000  6 Re 2.67
Re2 0.2500 0.8891 0.1109  4 Re 2.67-2.84, 4 Hf 2.86-2.92
Re3 0.7500 0.7782 0.8891  4 Re 2.67-2.84, 4 Hf 2.86-2.92
Re4 0.7500 0.1109 0.2218  4 Re 2.67-2.84, 4 Hf 2.86-2.92
Re5 0.2500 0.8891 0.7782  4 Re 2.67-2.84, 4 Hf 2.86-2.92
Re6 0.2500 0.2218 0.1109  4 Re 2.67-2.84, 4 Hf 2.86-2.92
Re7 0.0000 0.0000 0.0000  6 Re 2.67
Re8 0.7500 0.1109 0.8891  4 Re 2.67-2.84, 4 Hf 2.86-2.92
Fe1 0.2500 0.3334 0.6666  6 Hf 2.54
Fe2 0.7500 0.6666 0.3334  6 Hf 2.54

Calculated values
- symmetry = P6_3/mmc (194)


First-principles (r²SCAN) data for crystalline K2CrO4 at its relaxed geometry, as listed in the Materials Project database.

Unit cell a=7.6241 b=5.9092 c=11.6749 alpha=62.01 beta=90.00 gamma=90.00
Last column: nearest neighbours and their distance in Å.
Positions (direct):
O1 0.9864 0.8056 0.9210  1 Cr 1.64
O2 0.6812 0.6719 0.8541  1 Cr 1.65
O3 0.6986 0.7159 0.0716  1 Cr 1.65
O4 0.1812 0.3281 0.6459  1 Cr 1.65
O5 0.4864 0.1944 0.5790  1 Cr 1.64
O6 0.8014 0.7159 0.5716  1 Cr 1.65
O7 0.5136 0.8056 0.4210  1 Cr 1.64
O8 0.7154 0.1384 0.8397  1 Cr 1.65
O9 0.0136 0.1944 0.0790  1 Cr 1.64
O10 0.1986 0.2841 0.4284  1 Cr 1.65
O11 0.2846 0.8616 0.1603  1 Cr 1.65
O12 0.7846 0.1384 0.3397  1 Cr 1.65
O13 0.8188 0.6719 0.3541  1 Cr 1.65
O14 0.3014 0.2841 0.9284  1 Cr 1.65
O15 0.3188 0.3281 0.1459  1 Cr 1.65
O16 0.2154 0.8616 0.6603  1 Cr 1.65
K1 0.0113 0.5312 0.1992  8 O 2.74-2.92
K2 0.6639 0.1824 0.0824  4 O 2.67-2.97
K3 0.5113 0.4688 0.3008  8 O 2.74-2.92
K4 0.4887 0.5312 0.6992  8 O 2.74-2.92
K5 0.9887 0.4688 0.8008  8 O 2.74-2.92
K6 0.3361 0.8176 0.9176  4 O 2.67-2.97
K7 0.1639 0.8176 0.4176  4 O 2.67-2.97
K8 0.8361 0.1824 0.5824  4 O 2.67-2.97
Cr1 0.7722 0.8342 0.9213  4 O 1.64-1.65
Cr2 0.2722 0.1658 0.5787  4 O 1.64-1.65
Cr3 0.2278 0.1658 0.0787  4 O 1.64-1.65
Cr4 0.7278 0.8342 0.4213  4 O 1.64-1.65

Calculated values
- symmetry = P2_1/c (14)


no.,final energy (eV per atom)
1,-19.437
2,-45.340
3,-9.423